No. 1
# Na3ZrScSiP2O12, optimized geometry, DFT GGA-PBE
data_Na3ZrScSiP2O12
_chemical_formula_sum 'Na36 Zr12 Sc12 Si12 P24 O144'
_symmetry_space_group_name_H-M 'C 1 c 1'
_symmetry_Int_Tables_number 9
_cell_length_a 15.760
_cell_length_b 9.078
_cell_length_c 22.827
_cell_angle_alpha 90.00
_cell_angle_beta 90.01
_cell_angle_gamma 90.00
loop_
_symmetry_equiv_pos_as_xyz
'x,y,z'
'x,-y,z+1/2'
'x+1/2,y+1/2,z'
'x+1/2,-y+1/2,z+1/2'
loop_
_atom_site_label
_atom_site_type_symbol
_atom_site_fract_x
_atom_site_fract_y
_atom_site_fract_z
_atom_site_occupancy
Na1 Na 0.000 0.001 0.000 1
Na2 Na 0.004 0.362 0.251 1
Na3 Na 0.159 0.191 0.088 1
Na4 Na 0.167 0.491 0.667 1
Na5 Na 0.169 0.137 0.416 1
Na6 Na 0.321 0.310 0.252 1
Na7 Na 0.334 0.004 0.334 1
Na8 Na 0.335 0.370 0.584 1
Na9 Na 0.354 0.324 0.922 1
Zr1 Zr 0.006 0.007 0.652 1
Zr2 Zr 0.172 0.499 0.319 1
Zr3 Zr 0.343 0.001 0.485 1
Sc1 Sc 0.006 0.007 0.855 1
Sc2 Sc 0.172 0.499 0.521 1
Sc3 Sc 0.332 0.004 0.188 1
Si1 Si 0.152 0.145 0.255 1
Si2 Si 0.320 0.353 0.421 1
Si3 Si 0.337 0.298 0.087 1
P1 P 0.004 0.296 0.754 1
P2 P 0.025 0.353 0.420 1
P3 P 0.170 0.205 0.923 1
P4 P 0.192 0.147 0.586 1
P5 P 0.359 0.352 0.754 1
P6 P 0.486 0.146 0.590 1
O1 O 0.015 0.184 0.415 1
O2 O 0.016 0.197 0.699 1
O3 O 0.064 0.420 0.363 1
O4 O 0.074 0.416 0.082 1
O5 O 0.082 0.386 0.472 1
O6 O 0.083 0.395 0.759 1
O7 O 0.092 0.118 0.197 1
O8 O 0.095 0.099 0.916 1
O9 O 0.105 0.067 0.592 1
O10 O 0.106 0.083 0.313 1
O11 O 0.158 0.329 0.258 1
O12 O 0.159 0.297 0.978 1
O13 O 0.183 0.314 0.580 1
O14 O 0.184 0.308 0.869 1
O15 O 0.233 0.077 0.530 1
O16 O 0.249 0.083 0.251 1
O17 O 0.250 0.119 0.639 1
O18 O 0.251 0.400 0.083 1
O19 O 0.253 0.110 0.926 1
O20 O 0.259 0.383 0.363 1
O21 O 0.270 0.427 0.759 1
O22 O 0.275 0.425 0.479 1
O23 O 0.322 0.172 0.425 1
O24 O 0.323 0.193 0.144 1
O25 O 0.349 0.194 0.028 1
O26 O 0.354 0.185 0.747 1
O27 O 0.400 0.426 0.699 1
O28 O 0.411 0.437 0.415 1
O29 O 0.413 0.383 0.809 1
O30 O 0.419 0.410 0.091 1
O31 O 0.426 0.103 0.248 1
O32 O 0.426 0.118 0.536 1
O33 O 0.434 0.081 0.925 1
O34 O 0.444 0.086 0.645 1
O35 O 0.488 0.304 0.307 1
O36 O 0.492 0.318 0.593 1
# - Energy: -7.40 eV/atom
# - E above lowest polymorph: 0.06 eV per formula unit
# - Magnetization: 0.0 μB per formula unit

No. 2
# Mg3Au, optimized geometry, DFT GGA-PBE
data_Mg3Au
_chemical_formula_sum 'Mg18 Au6'
_symmetry_space_group_name_H-M 'P 63 c m'
_symmetry_Int_Tables_number 185
_symmetry_space_group_name_Hall 'P 6c -2'
_cell_length_a 8.1218
_cell_length_b 8.1218
_cell_length_c 8.5849
_cell_angle_alpha 90.00
_cell_angle_beta 90.00
_cell_angle_gamma 120.00
loop_
_atom_site_label
_atom_site_type_symbol
_atom_site_fract_x
_atom_site_fract_y
_atom_site_fract_z
_atom_site_occupancy
Mg1 Mg 0.0000 0.0000 0.0000 1
Mg2 Mg 0.0000 0.2803 0.2580 1
Mg3 Mg 0.0000 0.3751 0.6013 1
Mg4 Mg 0.3333 0.6667 0.3822 1
Au1 Au 0.0000 0.3283 0.9300 1
# - Energy: -2.43 eV/atom
# - E above lowest polymorph: 0.00 eV per formula unit

No. 3
# TiCo2Sn, optimized geometry, DFT GGA-PBE
data_TiCo2Sn
_chemical_formula_sum 'Ti1 Co2 Sn1'
_symmetry_space_group_name_H-M 'P 4/m m m'
_symmetry_Int_Tables_number 123
_symmetry_space_group_name_Hall '-P 4 2'
_cell_length_a 3.117
_cell_length_b 3.117
_cell_length_c 5.870
_cell_angle_alpha 90.00
_cell_angle_beta 90.00
_cell_angle_gamma 90.00
loop_
_atom_site_label
_atom_site_type_symbol
_atom_site_fract_x
_atom_site_fract_y
_atom_site_fract_z
_atom_site_occupancy
Ti1 Ti 0.000 0.000 0.000 1
Co1 Co 0.500 0.500 0.231 1
Sn1 Sn 0.000 0.000 0.500 1
# - Energy: -6.77 eV/atom
# - Magnetization: 1.6 μB per formula unit

No. 4
# SmAl5, optimized geometry, DFT GGA-PBE
data_SmAl5
_chemical_formula_sum 'Sm4 Al20'
_symmetry_space_group_name_H-M 'P 63 2 2'
_symmetry_Int_Tables_number 182
_symmetry_space_group_name_Hall 'P 6c 2c'
_cell_length_a 5.4484
_cell_length_b 5.4484
_cell_length_c 17.8551
_cell_angle_alpha 90.00
_cell_angle_beta 90.00
_cell_angle_gamma 120.00
loop_
_atom_site_label
_atom_site_type_symbol
_atom_site_fract_x
_atom_site_fract_y
_atom_site_fract_z
_atom_site_occupancy
Sm1 Sm 0.3333 0.6667 0.1494 1
Al1 Al 0.0000 0.0000 0.1156 1
Al2 Al 0.0000 0.3418 0.5000 1
Al3 Al 0.1652 0.3304 0.7500 1
Al4 Al 0.3333 0.6667 0.6194 1
# - Energy: -4.15 eV/atom
# - Magnetization: 0.0 μB per formula unit

No. 5
# MgTi3Bi4O12, optimized geometry, DFT GGA-PBE
data_MgTi3Bi4O12
_chemical_formula_sum 'Mg1 Ti3 Bi4 O12'
_symmetry_space_group_name_H-M 'P -1'
_symmetry_Int_Tables_number 2
_cell_length_a 3.954
_cell_length_b 3.956
_cell_length_c 18.254
_cell_angle_alpha 88.07
_cell_angle_beta 87.98
_cell_angle_gamma 89.62
loop_
_symmetry_equiv_pos_as_xyz
'x,y,z'
'-x,-y,-z'
loop_
_atom_site_label
_atom_site_type_symbol
_atom_site_fract_x
_atom_site_fract_y
_atom_site_fract_z
_atom_site_occupancy
Mg1 Mg 0.000 0.000 0.000 1
Ti1 Ti 0.340 0.340 0.275 1
Ti2 Ti 0.500 0.500 0.000 1
Bi1 Bi 0.190 0.191 0.833 1
Bi2 Bi 0.253 0.254 0.567 1
O1 O 0.000 0.500 0.000 1
O2 O 0.150 0.642 0.756 1
O3 O 0.248 0.752 0.500 1
O4 O 0.331 0.332 0.371 1
O5 O 0.358 0.850 0.244 1
O6 O 0.468 0.469 0.111 1
O7 O 0.500 0.000 0.000 1
# - Energy: -6.96 eV/atom
# - Magnetization: 1.0 μB per formula unit

No. 6
# Tb17Mg11Ni8, optimized geometry, DFT GGA-PBE
data_Tb17Mg11Ni8
_chemical_formula_sum 'Tb17 Mg11 Ni8'
_symmetry_space_group_name_H-M 'P m m m'
_symmetry_Int_Tables_number 47
_cell_length_a 3.644
_cell_length_b 10.950
_cell_length_c 21.905
_cell_angle_alpha 90.00
_cell_angle_beta 90.00
_cell_angle_gamma 90.00
loop_
_symmetry_equiv_pos_as_xyz
'x,y,z'
'-x,-y,-z'
'-x,-y,z'
'x,y,-z'
'x,-y,-z'
'-x,y,z'
'-x,y,-z'
'x,-y,z'
loop_
_atom_site_label
_atom_site_type_symbol
_atom_site_fract_x
_atom_site_fract_y
_atom_site_fract_z
_atom_site_occupancy
Tb1 Tb 0.000 0.000 0.000 1
Tb2 Tb 0.500 0.000 0.136 1
Tb3 Tb 0.500 0.000 0.367 1
Tb4 Tb 0.500 0.267 0.500 1
Tb5 Tb 0.500 0.271 0.000 1
Tb6 Tb 0.500 0.324 0.162 1
Tb7 Tb 0.500 0.325 0.338 1
Mg1 Mg 0.000 0.000 0.500 1
Mg2 Mg 0.000 0.142 0.250 1
Mg3 Mg 0.000 0.500 0.071 1
Mg4 Mg 0.000 0.500 0.250 1
Mg5 Mg 0.000 0.500 0.429 1
Ni1 Ni 0.000 0.190 0.095 1
Ni2 Ni 0.000 0.190 0.405 1
# - Energy: -4.21 eV/atom

No. 7
# LaAs2Au, optimized geometry, DFT GGA-PBE
data_LaAs2Au
_chemical_formula_sum 'La8 As16 Au8'
_symmetry_space_group_name_H-M 'F m m 2'
_symmetry_Int_Tables_number 42
_symmetry_space_group_name_Hall 'F 2 -2'
_cell_length_a 5.921
_cell_length_b 20.992
_cell_length_c 5.877
_cell_angle_alpha 90.00
_cell_angle_beta 90.00
_cell_angle_gamma 90.00
loop_
_atom_site_label
_atom_site_type_symbol
_atom_site_fract_x
_atom_site_fract_y
_atom_site_fract_z
_atom_site_occupancy
La1 La 0.000 0.118 0.000 1
As1 As 0.000 0.162 0.500 1
As2 As 0.216 0.000 0.270 1
Au1 Au 0.250 0.250 0.243 1
# - Energy: -5.20 eV/atom

No. 8
# La4SbTe7, optimized geometry, DFT GGA-PBE
data_La4SbTe7
_chemical_formula_sum 'La4 Sb1 Te7'
_symmetry_space_group_name_H-M 'P -4 m 2'
_symmetry_Int_Tables_number 115
_cell_length_a 4.524
_cell_length_b 4.524
_cell_length_c 18.817
_cell_angle_alpha 90.00
_cell_angle_beta 90.00
_cell_angle_gamma 90.00
loop_
_symmetry_equiv_pos_as_xyz
'x,y,z'
'y,-x,-z'
'-x,-y,z'
'-y,x,-z'
'-x,y,z'
'-y,-x,-z'
'x,-y,z'
'y,x,-z'
loop_
_atom_site_label
_atom_site_type_symbol
_atom_site_fract_x
_atom_site_fract_y
_atom_site_fract_z
_atom_site_occupancy
La1 La 0.000 0.500 0.137 1
La2 La 0.000 0.500 0.639 1
Sb1 Sb 0.000 0.000 0.500 1
Te1 Te 0.000 0.000 0.000 1
Te2 Te 0.000 0.500 0.316 1
Te3 Te 0.000 0.500 0.817 1
Te4 Te 0.500 0.500 0.000 1
Te5 Te 0.500 0.500 0.500 1
# - Energy: -5.19 eV/atom

No. 9
# SiO2, optimized geometry, DFT GGA-PBE
data_SiO2
_chemical_formula_sum 'Si48 O96'
_symmetry_space_group_name_H-M 'P 4/n m m'
_symmetry_Int_Tables_number 129
_cell_length_a 19.608
_cell_length_b 19.608
_cell_length_c 7.496
_cell_angle_alpha 90.00
_cell_angle_beta 90.00
_cell_angle_gamma 90.00
loop_
_symmetry_equiv_pos_as_xyz
'x,y,z'
'-x,-y,-z'
'-y+1/2,x,z'
'y+1/2,-x,-z'
'-x+1/2,-y+1/2,z'
'x+1/2,y+1/2,-z'
'y,-x+1/2,z'
'-y,x+1/2,-z'
'x+1/2,-y,-z'
'-x+1/2,y,z'
'-y,-x,-z'
'y,x,z'
'-x,y+1/2,-z'
'x,-y+1/2,z'
'y+1/2,x+1/2,-z'
'-y+1/2,-x+1/2,z'
loop_
_atom_site_label
_atom_site_type_symbol
_atom_site_fract_x
_atom_site_fract_y
_atom_site_fract_z
_atom_site_occupancy
Si1 Si 0.006 0.607 0.093 1
Si2 Si 0.058 0.170 0.251 1
Si3 Si 0.058 0.669 0.461 1
O1 O 0.002 0.647 0.610 1
O2 O 0.029 0.651 0.264 1
O3 O 0.031 0.158 0.047 1
O4 O 0.048 0.048 0.842 1
O5 O 0.072 0.572 0.000 1
O6 O 0.074 0.750 0.472 1
O7 O 0.077 0.250 0.278 1
O8 O 0.126 0.126 0.289 1
O9 O 0.128 0.628 0.500 1
# - Energy: -7.91 eV/atom
# - Magnetization: 0.0 μB per formula unit

- The lowest energy belongs to which entry?
  SiO2

- Among the records above, which one has the lowest energy?
  SiO2

- What is the energy in the seventh record?
  -5.20 eV/atom

- The lowest energy belongs to which entry?
  SiO2